1.
Compound: ThZr3
Source: the Materials Project database
Functional: PBE
Structure: optimized geometry

Output
- SG = P-6m2
- raw total energy (eV per atom) = -8.1968
- total magnetic moment (μB/atom) = 0.000

Unit cell a=3.312 b=3.312 c=10.785 alpha=90.00 beta=90.00 gamma=120.00
Sites, in units of the cell vectors:
Th 0.000 0.000 0.000
Zr 0.000 0.000 0.500
Zr 0.667 0.333 0.265
Zr 0.667 0.333 0.735

=====

2.
Compound: ThZr3
Source: the Materials Project database
Functional: PBE
Structure: optimized geometry

Output
- SG = P4/mmm
- raw total energy (eV per atom) = -8.1892
- total magnetic moment (μB/atom) = 0.000

Unit cell a=3.284 b=3.284 c=9.449 alpha=90.00 beta=90.00 gamma=90.00
Sites, in units of the cell vectors:
Th 0.000 0.000 0.000
Zr 0.000 0.000 0.500
Zr 0.500 0.500 0.265
Zr 0.500 0.500 0.735

=====

3.
Compound: ThZr3
Source: the Materials Project database
Functional: PBE
Structure: optimized geometry

Output
- SG = P6_3/mmc
- raw total energy (eV per atom) = -8.1855
- total magnetic moment (μB/atom) = 0.003

Unit cell a=6.651 b=6.651 c=5.392 alpha=90.00 beta=90.00 gamma=120.00
Sites, in units of the cell vectors:
Th 0.333 0.667 0.250
Th 0.667 0.333 0.750
Zr 0.157 0.313 0.750
Zr 0.157 0.843 0.750
Zr 0.313 0.157 0.250
Zr 0.687 0.843 0.750
Zr 0.843 0.157 0.250
Zr 0.843 0.687 0.250

=====

4.
Compound: ThZr2
Source: the Materials Project database
Functional: PBE
Structure: optimized geometry

Output
- SG = Fmmm
- raw total energy (eV per atom) = -8.0784
- total magnetic moment (μB/atom) = 0.002

Unit cell a=7.250 b=7.232 c=3.390 alpha=76.76 beta=76.17 gamma=27.07
Sites, in units of the cell vectors:
Th 0.000 0.000 0.000
Zr 0.327 0.327 0.673
Zr 0.673 0.673 0.327

=====

- What is the formula in the first record?
  ThZr3